(1)
Below is a relaxed structure of Li2PrAl, with properties calculated at the r2SCAN level.

Summary:
**Total moment**: 0.00 μB/f.u.
**Energy relative to the elements**: -0.9 eV/f.u.

Unit cell a=6.895 b=6.895 c=6.895 alpha=90.00 beta=90.00 gamma=90.00
Space group Fm-3m (No. 225)
Asymmetric unit:
Li (0.250, 0.250, 0.250) (multiplicity 8)
Pr (0.000, 0.000, 0.000) (multiplicity 4)
Al (0.000, 0.000, 0.500) (multiplicity 4)


(2)
Below is a relaxed structure of SmAl3Br12, with properties calculated at the r2SCAN level.

Summary:
**Total moment**: 0.00 μB/f.u.
**Energy relative to the elements**: -24.1 eV/f.u.

Unit cell a=10.5357 b=10.5357 c=18.4646 alpha=90.00 beta=90.00 gamma=120.00
Space group P3_121 (No. 152)
Asymmetric unit:
Sm (0.0000, 0.7300, 0.1667) (multiplicity 3)
Al (0.0000, 0.1007, 0.6667) (multiplicity 3)
Al (0.3020, 0.6320, 0.2207) (multiplicity 6)
Br (0.0270, 0.2350, 0.7706) (multiplicity 6)
Br (0.0751, 0.1982, 0.3638) (multiplicity 6)
Br (0.0802, 0.5868, 0.2786) (multiplicity 6)
Br (0.1380, 0.7192, 0.8492) (multiplicity 6)
Br (0.2238, 0.7202, 0.6243) (multiplicity 6)
Br (0.2327, 0.5230, 0.4549) (multiplicity 6)


(3)
Below is a relaxed structure of Tb5Mg24, with properties calculated at the r2SCAN level.

Summary:
**Total moment**: 0.00 μB/f.u.
**Energy relative to the elements**: -1.4 eV/f.u.

Unit cell a=11.235 b=11.235 c=11.235 alpha=90.00 beta=90.00 gamma=90.00
Space group I-43m (No. 217)
Asymmetric unit:
Tb (0.000, 0.000, 0.000) (multiplicity 2)
Tb (0.188, 0.188, 0.188) (multiplicity 8)
Mg (0.030, 0.357, 0.643) (multiplicity 24)
Mg (0.089, 0.089, 0.720) (multiplicity 24)


(4)
Below is a relaxed structure of MgH12SO10, with properties calculated at the r2SCAN level.

Summary:
**Total moment**: 0.00 μB/f.u.
**Energy relative to the elements**: -32.0 eV/f.u.

Unit cell a=9.890 b=7.161 c=24.218 alpha=90.00 beta=99.11 gamma=90.00
Space group C2/c (No. 15)
Asymmetric unit:
Mg (0.000, 0.000, 0.000) (multiplicity 4)
Mg (0.000, 0.065, 0.250) (multiplicity 4)
H (0.017, 0.291, 0.433) (multiplicity 8)
H (0.031, 0.325, 0.556) (multiplicity 8)
H (0.067, 0.255, 0.701) (multiplicity 8)
H (0.082, 0.370, 0.199) (multiplicity 8)
H (0.124, 0.200, 0.091) (multiplicity 8)
H (0.154, 0.190, 0.580) (multiplicity 8)
H (0.160, 0.047, 0.846) (multiplicity 8)
H (0.167, 0.096, 0.689) (multiplicity 8)
H (0.168, 0.175, 0.343) (multiplicity 8)
H (0.206, 0.133, 0.948) (multiplicity 8)
H (0.215, 0.291, 0.236) (multiplicity 8)
H (0.223, 0.466, 0.996) (multiplicity 8)
S (0.131, 0.445, 0.877) (multiplicity 8)
O (0.009, 0.439, 0.834) (multiplicity 8)
O (0.035, 0.174, 0.069) (multiplicity 8)
O (0.088, 0.219, 0.547) (multiplicity 8)
O (0.090, 0.491, 0.932) (multiplicity 8)
O (0.116, 0.144, 0.718) (multiplicity 8)
O (0.122, 0.261, 0.220) (multiplicity 8)
O (0.144, 0.062, 0.321) (multiplicity 8)
O (0.191, 0.053, 0.979) (multiplicity 8)
O (0.200, 0.261, 0.882) (multiplicity 8)
O (0.227, 0.409, 0.364) (multiplicity 8)


(5)
Below is a relaxed structure of Al2Cu, with properties calculated at the r2SCAN level.

Summary:
**Total moment**: 0.00 μB/f.u.
**Energy relative to the elements**: -0.6 eV/f.u.

Unit cell a=4.061 b=4.061 c=5.702 alpha=90.00 beta=90.00 gamma=90.00
Space group I4/mmm (No. 139)
Asymmetric unit:
Al (0.000, 0.500, 0.250) (multiplicity 4)
Cu (0.000, 0.000, 0.000) (multiplicity 2)


(6)
Below is a relaxed structure of SiO2, with properties calculated at the r2SCAN level.

Summary:
**Total moment**: 0.00 μB/f.u.
**Energy relative to the elements**: -9.0 eV/f.u.

Unit cell a=8.688 b=10.438 c=4.841 alpha=90.00 beta=90.00 gamma=90.00
Space group Pbcn (No. 60)
Asymmetric unit:
Si (0.000, 0.217, 0.250) (multiplicity 4)
Si (0.213, 0.416, 0.561) (multiplicity 8)
O (0.105, 0.301, 0.456) (multiplicity 8)
O (0.109, 0.130, 0.052) (multiplicity 8)
O (0.179, 0.458, 0.877) (multiplicity 8)


(7)
Below is a relaxed structure of YZn5, with properties calculated at the r2SCAN level.

Summary:
**Total moment**: 0.00 μB/f.u.
**Energy relative to the elements**: -2.0 eV/f.u.

Unit cell a=5.2456 b=5.2456 c=4.1726 alpha=90.00 beta=90.00 gamma=120.00
Space group P6/mmm (No. 191)
Asymmetric unit:
Y (0.0000, 0.0000, 0.0000) (multiplicity 1)
Zn (0.0000, 0.5000, 0.5000) (multiplicity 3)
Zn (0.3333, 0.6667, 0.0000) (multiplicity 2)


(8)
Below is a relaxed structure of Sc2VO5, with properties calculated at the r2SCAN level.

Summary:
**Total moment**: 1.00 μB/f.u.
**Energy relative to the elements**: -27.1 eV/f.u.

Unit cell a=7.793 b=7.793 c=14.578 alpha=90.00 beta=90.00 gamma=90.00
Space group I-4 (No. 82)
Asymmetric unit:
Sc (0.000, 0.000, 0.190) (multiplicity 4)
Sc (0.050, 0.296, 0.991) (multiplicity 8)
Sc (0.131, 0.321, 0.327) (multiplicity 8)
V (0.000, 0.000, 0.500) (multiplicity 2)
V (0.102, 0.294, 0.666) (multiplicity 8)
O (0.000, 0.500, 0.076) (multiplicity 4)
O (0.000, 0.500, 0.250) (multiplicity 2)
O (0.000, 0.500, 0.615) (multiplicity 4)
O (0.075, 0.836, 0.570) (multiplicity 8)
O (0.084, 0.809, 0.279) (multiplicity 8)
O (0.093, 0.753, 0.747) (multiplicity 8)
O (0.107, 0.839, 0.092) (multiplicity 8)
O (0.190, 0.760, 0.924) (multiplicity 8)


Question: Which of these has the highest energy relative to the elements?
Answer: Al2Cu


Question: Which of these has the highest total moment?
Answer: Sc2VO5


Question: Which value of energy relative to the elements does entry 2 give?
Answer: -24.1 eV/f.u.


Question: What is the energy relative to the elements in the second record?
Answer: -24.1 eV/f.u.